Li4CrCu3O8: relaxed, GGA+U.

Lattice parameters (Å, degrees): 10.1422 10.1414 14.3382 19.50 19.50 33.62
Atoms (fractional coordinates):
Li  0.5000  0.0000  0.5000
Cr  0.0000  0.0000  0.0000
O  0.0002  0.0003  0.7414
O  0.0000  0.4930  0.7477
Li  0.5000  0.5000  0.5000
Li  0.0000  0.5000  0.5000
Cu  0.0000  0.5000  0.0000
O  0.4936  0.4936  0.2655
O  0.0000  0.5070  0.2523
Cu  0.5000  0.5000  0.0000
Cu  0.5000  0.0000  0.0000
Li  0.0000  0.0000  0.5000
O  0.9998  0.9997  0.2586
O  0.5064  0.5064  0.7345
O  0.5070  0.9999  0.2523
O  0.4930  0.0001  0.7477

Calculated total energy ... -87.7 eV/cell
Energy of formation ... -156.7 kJ/mol of atoms
Magnetic moment ... 0.561 μB per atom



Li5Cr2Cu3O10: relaxed, GGA+U.

Lattice parameters (Å, degrees): 5.0522 10.7113 7.6233 110.37 102.62 78.66
Atoms (fractional coordinates):
Li  0.7498  0.7502  0.4999
O  0.0498  0.7390  0.7562
O  0.9904  0.5584  0.3335
Li  0.2503  0.2498  0.5001
Cu  0.2463  0.0534  0.0976
O  0.5151  0.8355  0.9356
Cu  0.7456  0.5541  0.0982
Cr  0.7721  0.3368  0.6933
O  0.4884  0.0588  0.3327
O  0.0097  0.4416  0.6668
O  0.0358  0.8307  0.4486
Li  0.2462  0.3517  0.2034
Li  0.2549  0.9481  0.3900
Cu  0.7537  0.9466  0.9023
O  0.9502  0.9895  0.1620
O  0.9843  0.6659  0.0651
O  0.4647  0.6698  0.5520
O  0.9643  0.1693  0.5513
Cu  0.2544  0.4458  0.9019
Li  0.7452  0.0519  0.6098
Cr  0.2278  0.6631  0.3066
Li  0.2458  0.5515  0.6102
O  0.4509  0.7603  0.2435
O  0.9503  0.2610  0.2438
Li  0.7542  0.4485  0.3899
O  0.4504  0.4898  0.1634
O  0.4849  0.1647  0.0644
Cu  0.2498  0.7499  0.0001
O  0.0158  0.3340  0.9348
O  0.5117  0.9413  0.6674
Li  0.2541  0.1487  0.7964
O  0.5354  0.3302  0.4481
Li  0.7539  0.6483  0.7966
Cr  0.7286  0.1636  0.3063
O  0.0495  0.0105  0.8379
Cr  0.2715  0.8364  0.6936
O  0.5490  0.2397  0.7565
Li  0.7458  0.8513  0.2035
Cu  0.7502  0.2501  0.9999
O  0.5494  0.5101  0.8367

Calculated total energy ... -222.7 eV/cell
Energy of formation ... -152.4 kJ/mol of atoms
Magnetic moment ... 0.119 μB per atom



Li2Cr3CuO8: relaxed, GGA+U.

Lattice parameters (Å, degrees): 5.9176 5.9176 5.9176 59.86 59.86 59.86
Atoms (fractional coordinates):
O  0.7444  0.7444  0.2926
O  0.7391  0.7391  0.7391
O  0.7444  0.2926  0.7444
Li  0.1268  0.1268  0.1268
O  0.2556  0.7074  0.2556
Cr  0.5000  0.0000  0.5000
Cr  0.5000  0.5000  0.0000
Cu  0.5000  0.5000  0.5000
Cr  0.0000  0.5000  0.5000
Li  0.8732  0.8732  0.8732
O  0.7074  0.2556  0.2556
O  0.2556  0.2556  0.7074
O  0.2609  0.2609  0.2609
O  0.2926  0.7444  0.7444

Calculated total energy ... -92.4 eV/cell
Energy of formation ... -188.9 kJ/mol of atoms
Magnetic moment ... 0.358 μB per atom



Li2Cr3CuO8: relaxed, GGA+U.

Lattice parameters (Å, degrees): 5.8442 5.8442 9.5650 89.78 89.78 119.92
Atoms (fractional coordinates):
O  0.0412  0.5223  0.1676
O  0.5223  0.0412  0.6676
Li  0.0028  0.0029  0.0035
O  0.9628  0.4727  0.6656
Cr  0.8293  0.1620  0.7912
Cr  0.1640  0.3346  0.2906
Li  0.0029  0.0028  0.5035
Li  0.3324  0.6638  0.6004
O  0.8474  0.6767  0.3944
O  0.4727  0.9628  0.1656
Cr  0.3346  0.1640  0.7906
Cr  0.6557  0.8283  0.2844
Cu  0.6747  0.3368  0.5169
O  0.6767  0.8474  0.8944
O  0.0005  0.0015  0.1867
O  0.6637  0.3281  0.8974
O  0.1638  0.3289  0.8896
O  0.8473  0.1715  0.3933
O  0.3281  0.6637  0.3974
O  0.5122  0.4721  0.6645
Cu  0.3368  0.6747  0.0169
Cr  0.1620  0.8293  0.2912
Li  0.6638  0.3324  0.1004
O  0.3289  0.1638  0.3896
Cr  0.8283  0.6557  0.7844
O  0.4721  0.5122  0.1645
O  0.0015  0.0005  0.6867
O  0.1715  0.8473  0.8933

Calculated total energy ... -184.3 eV/cell
Energy of formation ... -187.2 kJ/mol of atoms
Magnetic moment ... 0.357 μB per atom



Li4Cr3CuO8: relaxed, GGA+U.

Lattice parameters (Å, degrees): 10.2505 10.2505 14.4970 19.47 19.47 33.55
Atoms (fractional coordinates):
O  0.4958  0.0000  0.2611
O  0.4959  0.4959  0.7472
Cr  0.5000  0.5000  0.0000
O  0.0000  0.0000  0.2580
Cu  0.0000  0.0000  0.0000
O  0.5042  0.0000  0.7389
Cr  0.0000  0.5000  0.0000
Li  0.5000  0.5000  0.5000
O  0.0000  0.0000  0.7420
O  0.5041  0.5041  0.2528
O  0.0000  0.5042  0.7389
Li  0.0000  0.5000  0.5000
Li  0.5000  0.0000  0.5000
Cr  0.5000  0.0000  0.0000
Li  0.0000  0.0000  0.5000
O  0.0000  0.4958  0.2611

Calculated total energy ... -102.9 eV/cell
Energy of formation ... -205.7 kJ/mol of atoms
Magnetic moment ... 0.575 μB per atom



Li2CrCuO4: relaxed, GGA+U.

Lattice parameters (Å, degrees): 5.8947 5.8947 5.8841 119.94 119.94 90.17
Atoms (fractional coordinates):
O  0.7554  0.2446  0.5156
Li  0.5000  0.5000  0.0000
Cu  0.0000  0.0000  0.5000
Li  0.5000  0.5000  0.5000
O  0.7728  0.7520  0.0124
O  0.7554  0.2446  0.9844
O  0.7520  0.7728  0.5124
O  0.2272  0.2480  0.9876
Cr  0.5000  0.0000  0.5000
O  0.2446  0.7554  0.4844
Li  0.5000  0.0000  0.0000
Cu  0.0000  0.0000  0.0000
Cr  0.0000  0.5000  0.0000
O  0.2446  0.7554  0.0156
Li  0.0000  0.5000  0.5000
O  0.2480  0.2272  0.4876

Calculated total energy ... -95.2 eV/cell
Energy of formation ... -181.0 kJ/mol of atoms
Magnetic moment ... 0.623 μB per atom



Li2CrCuO4: relaxed, GGA+U.

Lattice parameters (Å, degrees): 5.1253 5.7631 5.1316 90.00 68.36 90.00
Atoms (fractional coordinates):
Li  0.5000  0.2499  0.0000
Li  0.0000  0.7500  0.5000
O  0.7320  0.7498  0.2326
O  0.2680  0.7498  0.7674
O  0.2321  0.2498  0.7327
Li  0.0000  0.5000  0.0000
Cu  0.5000  0.7497  0.0000
O  0.2644  0.5000  0.2639
Cu  0.0000  0.2498  0.5000
Cr  0.0000  0.0007  0.0000
O  0.7679  0.2498  0.2673
O  0.7643  0.9999  0.7640
O  0.2357  0.9999  0.2360
Li  0.5000  0.0001  0.5000
O  0.7356  0.5000  0.7361
Cr  0.5000  0.5007  0.5000

Calculated total energy ... -95.5 eV/cell
Energy of formation ... -182.5 kJ/mol of atoms
Magnetic moment ... 0.000 μB per atom



Li2Cr3CuO8: relaxed, GGA+U.

Lattice parameters (Å, degrees): 5.7709 5.7709 9.6573 90.00 90.00 120.00
Atoms (fractional coordinates):
O  0.9644  0.4822  0.3298
Cr  0.3435  0.1717  0.2148
O  0.0000  0.0000  0.8101
Li  0.3333  0.6667  0.3937
O  0.0356  0.5178  0.8298
Li  0.0000  0.0000  0.4966
O  0.8428  0.6855  0.6097
O  0.6667  0.3333  0.1002
Cu  0.6667  0.3333  0.4954
O  0.0000  0.0000  0.3101
Cu  0.3333  0.6667  0.9954
Li  0.6667  0.3333  0.8937
O  0.3145  0.1572  0.6097
O  0.8428  0.1572  0.6097
Cr  0.1717  0.8283  0.7148
O  0.4822  0.5178  0.8298
O  0.5178  0.0356  0.3298
O  0.3333  0.6667  0.6002
O  0.1572  0.3145  0.1097
O  0.4822  0.9644  0.8298
Cr  0.1717  0.3435  0.7148
Li  0.0000  0.0000  0.9966
Cr  0.6565  0.8283  0.7148
O  0.6855  0.8428  0.1097
Cr  0.8283  0.6565  0.2148
O  0.1572  0.8428  0.1097
O  0.5178  0.4822  0.3298
Cr  0.8283  0.1717  0.2148

Calculated total energy ... -183.5 eV/cell
Energy of formation ... -184.7 kJ/mol of atoms
Magnetic moment ... 0.357 μB per atom



The lowest calculated total energy belongs to which entry?
Li5Cr2Cu3O10